Entry 1:
VASP calculation (PBE-GGA) on a geometry-optimized NaGe2P3O12 structure.

Calculated values
Calculated total energy in eV/f.u.: -122.56
Excess energy over the best structure of this formula in the dataset in meV per atom: 0

Cell: 8.689 8.689 8.689 Å, 56.46 56.46 56.46°
Fractional coordinates of all 36 atoms:
Na 0.000 0.000 0.000
Na 0.500 0.500 0.500
Ge 0.144 0.144 0.144
Ge 0.352 0.352 0.352
Ge 0.648 0.648 0.648
Ge 0.856 0.856 0.856
P 0.034 0.464 0.751
P 0.249 0.966 0.536
P 0.464 0.751 0.034
P 0.536 0.249 0.966
P 0.751 0.034 0.464
P 0.966 0.536 0.249
O 0.010 0.625 0.796
O 0.097 0.896 0.742
O 0.104 0.258 0.903
O 0.159 0.522 0.233
O 0.198 0.478 0.543
O 0.204 0.990 0.375
O 0.233 0.159 0.522
O 0.258 0.903 0.104
O 0.375 0.204 0.990
O 0.457 0.802 0.522
O 0.478 0.543 0.198
O 0.478 0.767 0.841
O 0.522 0.233 0.159
O 0.522 0.457 0.802
O 0.543 0.198 0.478
O 0.625 0.796 0.010
O 0.742 0.097 0.896
O 0.767 0.841 0.478
O 0.796 0.010 0.625
O 0.802 0.522 0.457
O 0.841 0.478 0.767
O 0.896 0.742 0.097
O 0.903 0.104 0.258
O 0.990 0.375 0.204

***

Entry 2:
VASP calculation (PBE-GGA) on a geometry-optimized Na3Sc2Ge2P5SO24 structure.

Calculated values
Calculated total energy in eV/f.u.: -258.50

Cell: 8.619 8.640 22.210 Å, 90.03 90.30 119.64°
Fractional coordinates of all 111 atoms:
Na 0.000 0.000 0.000
Na 0.002 0.634 0.250
Na 0.006 0.013 0.499
Na 0.338 0.666 0.834
Na 0.341 0.669 0.335
Na 0.373 0.004 0.750
Na 0.664 0.330 0.166
Na 0.668 0.338 0.666
Na 0.970 0.669 0.583
Sc 0.337 0.666 0.689
Sc 0.341 0.677 0.189
Sc 0.660 0.338 0.517
Sc 0.663 0.340 0.315
Sc 0.667 0.346 0.815
Sc 0.668 0.342 0.018
Ge 0.000 0.010 0.647
Ge 0.000 0.998 0.852
Ge 0.010 0.007 0.352
Ge 0.326 0.660 0.484
Ge 0.349 0.696 0.983
Ge 0.993 0.997 0.148
P 0.001 0.282 0.250
P 0.046 0.375 0.584
P 0.048 0.679 0.084
P 0.277 0.284 0.751
P 0.284 0.011 0.249
P 0.333 0.962 0.585
P 0.364 0.340 0.416
P 0.366 0.040 0.916
P 0.627 0.680 0.583
P 0.632 0.964 0.085
P 0.667 0.643 0.917
P 0.721 0.728 0.252
P 0.724 0.008 0.751
P 0.972 0.643 0.417
P 0.997 0.721 0.749
S 0.327 0.379 0.083
S 0.667 0.037 0.417
S 0.971 0.340 0.917
O 0.030 0.189 0.591
O 0.031 0.200 0.307
O 0.033 0.853 0.090
O 0.036 0.842 0.805
O 0.125 0.496 0.638
O 0.126 0.648 0.141
O 0.150 0.502 0.925
O 0.157 0.974 0.589
O 0.162 0.662 0.426
O 0.163 0.458 0.527
O 0.164 0.198 0.808
O 0.165 0.470 0.246
O 0.166 0.200 0.088
O 0.166 0.970 0.306
O 0.169 0.710 0.027
O 0.169 0.710 0.746
O 0.176 0.171 0.408
O 0.177 0.021 0.908
O 0.197 0.039 0.192
O 0.197 0.165 0.694
O 0.292 0.835 0.529
O 0.297 0.468 0.748
O 0.297 0.839 0.246
O 0.298 0.462 0.028
O 0.346 0.850 0.924
O 0.351 0.513 0.426
O 0.357 0.486 0.137
O 0.360 0.883 0.642
O 0.443 0.301 0.472
O 0.450 0.155 0.971
O 0.462 0.298 0.755
O 0.468 0.174 0.254
O 0.478 0.113 0.859
O 0.480 0.374 0.361
O 0.488 0.359 0.077
O 0.493 0.655 0.927
O 0.495 0.145 0.577
O 0.505 0.859 0.424
O 0.516 0.646 0.639
O 0.518 0.878 0.139
O 0.536 0.707 0.247
O 0.537 0.844 0.747
O 0.540 0.712 0.526
O 0.551 0.845 0.027
O 0.631 0.527 0.861
O 0.636 0.117 0.363
O 0.652 0.148 0.076
O 0.658 0.520 0.576
O 0.700 0.148 0.470
O 0.701 0.173 0.755
O 0.705 0.562 0.973
O 0.709 0.544 0.256
O 0.808 0.843 0.308
O 0.808 0.977 0.808
O 0.818 0.848 0.589
O 0.821 0.980 0.091
O 0.831 0.020 0.410
O 0.832 0.539 0.754
O 0.836 0.038 0.693
O 0.836 0.307 0.255
O 0.836 0.831 0.909
O 0.839 0.804 0.194
O 0.859 0.563 0.473
O 0.860 0.308 0.970
O 0.862 0.358 0.575
O 0.863 0.517 0.076
O 0.892 0.372 0.863
O 0.894 0.529 0.360
O 0.969 0.805 0.690
O 0.970 0.169 0.192
O 0.988 0.177 0.910
O 0.988 0.831 0.409

***

Entry 3:
VASP calculation (PBE-GGA) on a geometry-optimized NaScGeP2SO12 structure.

Calculated values
Calculated total energy in eV/f.u.: -124.65

Cell: 8.572 8.634 22.438 Å, 88.79 90.00 119.77°
Fractional coordinates of all 108 atoms:
P 0.629 0.679 0.916
P 0.659 0.618 0.582
P 0.993 0.285 0.249
P 0.326 0.952 0.916
P 0.049 0.679 0.416
P 0.626 0.952 0.416
P 0.383 0.345 0.083
P 0.963 0.345 0.583
P 0.296 0.012 0.250
P 0.716 0.012 0.750
P 0.959 0.618 0.082
P 0.292 0.285 0.749
O 0.875 0.498 0.141
O 0.796 0.978 0.695
O 0.157 0.450 0.972
O 0.160 0.192 0.412
O 0.685 0.533 0.528
O 0.149 0.682 0.757
O 0.151 0.519 0.575
O 0.032 0.192 0.912
O 0.182 0.200 0.695
O 0.848 0.311 0.529
O 0.152 0.970 0.909
O 0.019 0.200 0.195
O 0.485 0.637 0.576
O 0.485 0.303 0.742
O 0.200 0.015 0.590
O 0.292 0.450 0.472
O 0.366 0.859 0.578
O 0.515 0.867 0.361
O 0.312 0.469 0.756
O 0.657 0.518 0.923
O 0.956 0.165 0.308
O 0.157 0.469 0.256
O 0.689 0.147 0.030
O 0.482 0.349 0.423
O 0.485 0.186 0.242
O 0.623 0.498 0.641
O 0.533 0.682 0.257
O 0.500 0.375 0.141
O 0.129 0.644 0.362
O 0.791 0.814 0.196
O 0.818 0.852 0.909
O 0.515 0.644 0.862
O 0.458 0.147 0.530
O 0.626 0.116 0.138
O 0.866 0.349 0.923
O 0.352 0.867 0.861
O 0.194 0.185 0.089
O 0.959 0.783 0.805
O 0.701 0.186 0.742
O 0.208 0.042 0.307
O 0.491 0.116 0.638
O 0.151 0.637 0.076
O 0.490 0.136 0.923
O 0.818 0.303 0.242
O 0.289 0.832 0.974
O 0.463 0.311 0.029
O 0.834 0.042 0.807
O 0.367 0.519 0.075
O 0.527 0.851 0.756
O 0.826 0.525 0.745
O 0.542 0.832 0.474
O 0.023 0.814 0.696
O 0.861 0.518 0.423
O 0.646 0.136 0.423
O 0.991 0.185 0.589
O 0.182 0.978 0.195
O 0.699 0.525 0.245
O 0.209 0.165 0.808
O 0.125 0.481 0.863
O 0.848 0.533 0.028
O 0.824 0.783 0.305
O 0.816 0.015 0.090
O 0.824 0.803 0.590
O 0.875 0.375 0.641
O 0.493 0.859 0.078
O 0.034 0.852 0.409
O 0.324 0.851 0.256
O 0.979 0.803 0.090
O 0.818 0.970 0.409
O 0.542 0.708 0.974
O 0.356 0.481 0.363
O 0.167 0.708 0.474
Ge 0.332 0.668 0.018
Ge 0.999 0.001 0.351
Ge 0.665 0.334 0.685
Ge 0.669 0.334 0.185
Ge 0.336 0.668 0.518
Ge 0.002 0.001 0.851
Sc 0.010 0.004 0.145
Sc 0.343 0.671 0.812
Sc 0.327 0.671 0.312
Sc 0.994 0.004 0.645
Sc 0.677 0.338 0.479
Sc 0.661 0.338 0.979
S 0.659 0.038 0.083
S 0.713 0.705 0.250
S 0.992 0.705 0.750
S 0.325 0.372 0.417
S 0.380 0.038 0.583
S 0.047 0.372 0.917
Na 0.338 0.661 0.667
Na 0.990 0.995 0.500
Na 0.657 0.328 0.834
Na 0.671 0.328 0.334
Na 0.004 0.995 0.000
Na 0.324 0.661 0.167